PBE+U Li5Ni2P3O12, optimized geometry; polymorph energy (0 for the lowest one) = 0 meV/atom; space-group type = P2_1 (4); crystal system = monoclinic
1.0
8.627 0.000 0.000
0.000 8.740 0.000
-0.171 0.000 12.286
Li Ni P O
20 8 12 48
Direct
0.044 0.000 0.066
0.105 0.966 0.502
0.154 0.889 0.275
0.179 0.325 0.554
0.180 0.750 0.899
0.313 0.715 0.595
0.324 0.136 0.945
0.378 0.500 0.006
0.405 0.413 0.242
0.451 0.468 0.446
0.549 0.968 0.554
0.595 0.913 0.758
0.622 0.000 0.994
0.676 0.636 0.055
0.687 0.215 0.405
0.820 0.250 0.101
0.821 0.825 0.446
0.846 0.389 0.725
0.895 0.466 0.498
0.956 0.500 0.934
0.000 0.265 0.354
0.000 0.765 0.646
0.003 0.682 0.139
0.495 0.678 0.861
0.498 0.773 0.354
0.502 0.273 0.646
0.505 0.178 0.139
0.997 0.182 0.861
0.142 0.331 0.096
0.144 0.625 0.400
0.201 0.476 0.757
0.296 0.980 0.742
0.353 0.129 0.397
0.355 0.838 0.098
0.645 0.338 0.902
0.647 0.629 0.603
0.704 0.480 0.258
0.799 0.976 0.243
0.856 0.125 0.600
0.858 0.831 0.904
0.042 0.742 0.464
0.047 0.281 0.195
0.048 0.407 0.802
0.091 0.491 0.057
0.101 0.458 0.432
0.117 0.206 0.008
0.125 0.652 0.279
0.159 0.602 0.673
0.176 0.097 0.378
0.183 0.818 0.059
0.204 0.093 0.810
0.205 0.910 0.643
0.292 0.547 0.856
0.294 0.357 0.693
0.316 0.650 0.438
0.322 0.341 0.113
0.351 0.853 0.822
0.365 0.836 0.222
0.374 0.249 0.490
0.409 0.997 0.057
0.428 0.976 0.429
0.434 0.201 0.298
0.448 0.050 0.694
0.453 0.710 0.043
0.547 0.210 0.957
0.552 0.550 0.306
0.566 0.701 0.702
0.572 0.476 0.571
0.591 0.497 0.943
0.626 0.749 0.510
0.635 0.336 0.778
0.649 0.353 0.178
0.678 0.841 0.887
0.684 0.150 0.562
0.706 0.857 0.307
0.708 0.047 0.144
0.795 0.410 0.357
0.796 0.593 0.190
0.817 0.318 0.941
0.824 0.597 0.622
0.841 0.102 0.327
0.875 0.152 0.721
0.883 0.706 0.992
0.899 0.958 0.568
0.909 0.991 0.943
0.952 0.907 0.198
0.953 0.781 0.805
0.958 0.242 0.536

PBE+U LiNi2P3O12, optimized geometry; polymorph energy (0 for the lowest one) = 24 meV/atom; space-group type = P-1 (2); crystal system = triclinic
1.0
8.337 0.000 0.000
-4.157 7.310 0.000
-4.147 -2.463 7.473
Li Ni P O
2 4 6 24
Direct
0.182 0.427 0.364
0.818 0.573 0.636
0.286 0.644 0.926
0.297 0.147 0.445
0.703 0.853 0.555
0.714 0.356 0.074
0.210 0.965 0.747
0.215 0.755 0.251
0.497 0.460 0.251
0.503 0.540 0.749
0.785 0.245 0.749
0.790 0.035 0.253
0.001 0.383 0.759
0.034 0.003 0.707
0.131 0.758 0.754
0.176 0.697 0.066
0.264 0.983 0.600
0.293 0.966 0.294
0.314 0.353 0.585
0.320 0.329 0.291
0.374 0.710 0.394
0.387 0.498 0.076
0.388 0.631 0.762
0.418 0.108 0.929
0.582 0.892 0.071
0.612 0.369 0.238
0.613 0.502 0.924
0.626 0.290 0.606
0.680 0.671 0.709
0.686 0.647 0.415
0.707 0.034 0.706
0.736 0.017 0.400
0.824 0.303 0.934
0.869 0.242 0.246
0.966 0.997 0.293
0.999 0.617 0.241

PBE+U LiNiPO4, optimized geometry; polymorph energy (0 for the lowest one) = 66 meV/atom; space-group type = P-1 (2); crystal system = triclinic
1.0
5.967 0.000 0.000
1.096 6.282 0.000
0.927 2.469 8.975
Li Ni P O
4 4 4 16
Direct
0.069 0.339 0.170
0.096 0.830 0.232
0.904 0.170 0.768
0.931 0.661 0.830
0.305 0.645 0.567
0.486 0.923 0.784
0.514 0.077 0.216
0.695 0.355 0.433
0.215 0.182 0.499
0.339 0.283 0.879
0.661 0.717 0.121
0.785 0.818 0.501
0.030 0.741 0.449
0.195 0.107 0.866
0.225 0.166 0.336
0.230 0.519 0.790
0.303 0.951 0.606
0.338 0.289 0.044
0.368 0.351 0.510
0.419 0.790 0.185
0.581 0.210 0.815
0.632 0.649 0.490
0.662 0.711 0.956
0.697 0.049 0.394
0.770 0.481 0.210
0.775 0.834 0.664
0.805 0.893 0.134
0.970 0.259 0.551

PBE+U Li5NiP3O11, optimized geometry; space-group type = P-1 (2); crystal system = triclinic
1.0
5.340 0.000 0.000
0.599 8.383 0.000
0.242 0.978 9.511
Li Ni P O
10 2 6 22
Direct
0.013 0.002 0.340
0.179 0.618 0.817
0.221 0.366 0.672
0.277 0.673 0.157
0.321 0.379 0.346
0.679 0.621 0.654
0.723 0.327 0.843
0.779 0.634 0.328
0.821 0.382 0.183
0.987 0.998 0.660
0.000 0.000 0.000
0.500 0.000 0.500
0.232 0.327 0.023
0.275 0.704 0.484
0.470 0.043 0.186
0.530 0.957 0.814
0.725 0.296 0.516
0.768 0.673 0.977
0.013 0.759 0.982
0.118 0.861 0.513
0.157 0.617 0.370
0.200 0.435 0.143
0.255 0.022 0.816
0.270 0.932 0.153
0.308 0.593 0.624
0.323 0.403 0.881
0.387 0.119 0.322
0.460 0.238 0.566
0.461 0.194 0.066
0.539 0.806 0.934
0.540 0.762 0.434
0.613 0.881 0.678
0.677 0.597 0.119
0.692 0.407 0.376
0.730 0.068 0.847
0.745 0.978 0.184
0.800 0.565 0.857
0.843 0.383 0.630
0.882 0.139 0.487
0.987 0.241 0.018

PBE+U LiNiPO4, optimized geometry; polymorph energy (0 for the lowest one) = 43 meV/atom; space-group type = R3 (146); crystal system = trigonal
1.0
6.758 3.902 3.166
-6.758 3.902 3.166
0.000 -7.804 3.166
Li Ni P O
6 6 6 24
Direct
0.017 0.195 0.788
0.195 0.788 0.017
0.302 0.709 0.476
0.476 0.302 0.709
0.709 0.476 0.302
0.788 0.017 0.195
0.040 0.821 0.653
0.128 0.366 0.518
0.366 0.518 0.128
0.518 0.128 0.366
0.653 0.040 0.821
0.821 0.653 0.040
0.152 0.971 0.377
0.377 0.152 0.971
0.462 0.675 0.867
0.675 0.867 0.462
0.867 0.462 0.675
0.971 0.377 0.152
0.166 0.862 0.497
0.177 0.500 0.225
0.225 0.177 0.500
0.236 0.954 0.898
0.270 0.271 0.942
0.271 0.942 0.270
0.328 0.609 0.667
0.357 0.670 0.991
0.497 0.166 0.862
0.500 0.225 0.177
0.546 0.879 0.561
0.561 0.546 0.879
0.609 0.667 0.328
0.609 0.870 0.936
0.667 0.328 0.609
0.670 0.991 0.357
0.862 0.497 0.166
0.870 0.936 0.609
0.879 0.561 0.546
0.898 0.236 0.954
0.936 0.609 0.870
0.942 0.270 0.271
0.954 0.898 0.236
0.991 0.357 0.670

PBE+U Li15Ni8P12O48, optimized geometry; space-group type = P1 (1); crystal system = triclinic
1.0
8.765 0.000 0.000
0.027 8.868 0.000
0.024 0.020 12.269
Li Ni P O
15 8 12 48
Direct
0.000 0.000 0.000
0.000 0.499 0.133
0.018 0.002 0.632
0.024 0.501 0.499
0.189 0.743 0.529
0.190 0.240 0.603
0.331 0.355 0.030
0.331 0.856 0.102
0.500 0.094 0.133
0.500 0.595 0.000
0.524 0.602 0.629
0.533 0.080 0.497
0.686 0.351 0.603
0.832 0.241 0.030
0.832 0.741 0.104
0.215 0.047 0.426
0.215 0.546 0.708
0.307 0.048 0.927
0.307 0.546 0.208
0.713 0.041 0.705
0.714 0.548 0.426
0.807 0.048 0.209
0.808 0.549 0.926
0.010 0.248 0.816
0.010 0.750 0.316
0.155 0.691 0.966
0.156 0.191 0.168
0.360 0.904 0.668
0.369 0.399 0.466
0.508 0.840 0.313
0.511 0.345 0.817
0.655 0.402 0.168
0.656 0.903 0.966
0.867 0.195 0.467
0.867 0.691 0.666
0.027 0.144 0.507
0.028 0.642 0.625
0.099 0.141 0.894
0.099 0.639 0.240
0.114 0.341 0.740
0.114 0.841 0.392
0.168 0.864 0.987
0.169 0.364 0.148
0.181 0.648 0.848
0.183 0.145 0.285
0.233 0.974 0.594
0.239 0.468 0.540
0.283 0.120 0.093
0.283 0.618 0.039
0.331 0.943 0.787
0.339 0.447 0.350
0.351 0.731 0.647
0.359 0.225 0.484
0.400 0.756 0.236
0.406 0.254 0.893
0.421 0.948 0.393
0.423 0.455 0.740
0.495 0.452 0.126
0.495 0.953 0.007
0.519 0.960 0.632
0.527 0.453 0.508
0.599 0.953 0.240
0.600 0.454 0.893
0.610 0.740 0.383
0.615 0.252 0.742
0.669 0.229 0.148
0.669 0.729 0.985
0.682 0.448 0.284
0.683 0.948 0.848
0.739 0.135 0.546
0.742 0.615 0.595
0.783 0.473 0.093
0.783 0.974 0.040
0.832 0.143 0.352
0.839 0.642 0.783
0.856 0.865 0.656
0.857 0.369 0.480
0.905 0.342 0.892
0.907 0.842 0.240
0.921 0.140 0.740
0.922 0.640 0.393
0.994 0.642 0.007
0.995 0.142 0.127

PBE+U Li4Ni2P3O12, optimized geometry; polymorph energy (0 for the lowest one) = 7 meV/atom; space-group type = Pbcn (60); crystal system = orthorhombic
1.0
12.236 0.000 0.000
0.000 8.898 0.000
0.000 0.000 8.752
Li Ni P O
16 8 12 48
Direct
0.181 0.203 0.238
0.181 0.797 0.738
0.214 0.448 0.072
0.214 0.552 0.572
0.286 0.052 0.572
0.286 0.948 0.072
0.319 0.297 0.738
0.319 0.703 0.238
0.681 0.297 0.762
0.681 0.703 0.262
0.714 0.052 0.928
0.714 0.948 0.428
0.786 0.448 0.428
0.786 0.552 0.928
0.819 0.203 0.262
0.819 0.797 0.762
0.109 0.252 0.544
0.109 0.748 0.044
0.391 0.248 0.044
0.391 0.752 0.544
0.609 0.248 0.456
0.609 0.752 0.956
0.891 0.252 0.956
0.891 0.748 0.456
0.000 0.452 0.250
0.000 0.548 0.750
0.149 0.106 0.894
0.149 0.894 0.394
0.351 0.394 0.394
0.351 0.606 0.894
0.500 0.048 0.750
0.500 0.952 0.250
0.649 0.394 0.106
0.649 0.606 0.606
0.851 0.106 0.606
0.851 0.894 0.106
0.033 0.153 0.925
0.033 0.847 0.425
0.075 0.455 0.644
0.075 0.545 0.144
0.080 0.347 0.338
0.080 0.653 0.838
0.168 0.067 0.407
0.168 0.933 0.907
0.189 0.156 0.733
0.189 0.844 0.233
0.224 0.175 0.022
0.224 0.825 0.522
0.276 0.325 0.522
0.276 0.675 0.022
0.311 0.344 0.233
0.311 0.656 0.733
0.332 0.433 0.907
0.332 0.567 0.407
0.420 0.153 0.838
0.420 0.847 0.338
0.425 0.045 0.144
0.425 0.955 0.644
0.467 0.347 0.425
0.467 0.653 0.925
0.533 0.347 0.075
0.533 0.653 0.575
0.575 0.045 0.356
0.575 0.955 0.856
0.580 0.153 0.662
0.580 0.847 0.162
0.668 0.433 0.593
0.668 0.567 0.093
0.689 0.344 0.267
0.689 0.656 0.767
0.724 0.325 0.978
0.724 0.675 0.478
0.776 0.175 0.478
0.776 0.825 0.978
0.811 0.156 0.767
0.811 0.844 0.267
0.832 0.067 0.093
0.832 0.933 0.593
0.920 0.347 0.162
0.920 0.653 0.662
0.925 0.455 0.856
0.925 0.545 0.356
0.967 0.153 0.575
0.967 0.847 0.075

no.,calculated formation energy (eV/atom),corrected total energy (MP2020 scheme) (eV for the cell shown),calculated total energy (eV/atom)
1,-2.458,-603.15,-6.248
2,-1.954,-248.52,-6.163
3,-2.299,-195.95,-6.243
4,-2.561,-274.42,-6.356
5,-2.323,-294.92,-6.266
6,-2.342,-571.69,-6.246
7,-2.366,-578.01,-6.247